Record 1
The following is a DFT calculation (PBE) of a relaxed CuH2O2 crystal.

Cell: 2.978 5.401 5.380 Å, 90.00 101.80 90.00°
Positions (direct):
Cu 0.177 0.000 0.367
Cu 0.823 0.500 0.633
H 0.203 0.509 0.226
H 0.460 0.312 0.958
H 0.540 0.812 0.042
H 0.797 0.009 0.774
O 0.236 0.434 0.395
O 0.415 0.483 0.889
O 0.585 0.983 0.111
O 0.764 0.934 0.605

Output
The energy relative to the lowest polymorph listed for this composition is 0.007 eV/atom. The spin magnetization is 1.00 μB per formula unit.

Record 2
The following is a DFT calculation (PBE) of a relaxed Cu3P2H2O9 crystal.

Cell: 9.494 9.494 12.317 Å, 104.26 104.26 38.42°
Positions (direct):
Cu 0.092 0.725 0.640
Cu 0.162 0.337 0.907
Cu 0.275 0.908 0.860
Cu 0.291 0.482 0.316
Cu 0.337 0.162 0.407
Cu 0.482 0.291 0.816
Cu 0.518 0.709 0.184
Cu 0.663 0.838 0.593
Cu 0.709 0.518 0.684
Cu 0.725 0.092 0.140
Cu 0.838 0.663 0.093
Cu 0.908 0.275 0.360
P 0.139 0.352 0.642
P 0.251 0.606 0.097
P 0.352 0.139 0.142
P 0.394 0.749 0.403
P 0.606 0.251 0.597
P 0.648 0.861 0.858
P 0.749 0.394 0.903
P 0.861 0.648 0.358
H 0.015 0.036 0.632
H 0.036 0.015 0.132
H 0.183 0.726 0.905
H 0.274 0.817 0.595
H 0.726 0.183 0.405
H 0.817 0.274 0.095
H 0.964 0.985 0.868
H 0.985 0.964 0.368
O 0.000 0.412 0.389
O 0.000 0.588 0.611
O 0.007 0.671 0.379
O 0.013 0.765 0.134
O 0.128 0.833 0.855
O 0.160 0.347 0.071
O 0.167 0.872 0.645
O 0.234 0.334 0.768
O 0.235 0.987 0.366
O 0.251 0.717 0.382
O 0.275 0.514 0.973
O 0.283 0.749 0.118
O 0.329 0.993 0.121
O 0.334 0.234 0.268
O 0.347 0.160 0.571
O 0.406 0.428 0.677
O 0.412 0.000 0.889
O 0.428 0.406 0.177
O 0.486 0.725 0.527
O 0.514 0.275 0.473
O 0.572 0.594 0.823
O 0.588 0.000 0.111
O 0.594 0.572 0.323
O 0.653 0.840 0.429
O 0.666 0.766 0.732
O 0.671 0.007 0.879
O 0.717 0.251 0.882
O 0.725 0.486 0.027
O 0.749 0.283 0.618
O 0.765 0.013 0.634
O 0.766 0.666 0.232
O 0.833 0.128 0.355
O 0.840 0.653 0.929
O 0.872 0.167 0.145
O 0.987 0.235 0.866
O 0.993 0.329 0.621

Output
The spin magnetization is 2.98 μB per formula unit.

Energy of formation values, unit kJ per mole of atoms, following the record order: -100, -169.